! PBE with a Hubbard U Li4Mn2Fe3SbP6O24, relaxed; values from VASP
! Corrected total energy (MP2020 scheme) in eV per atom: -7.578
! Energy of formation in eV/atom: -2.4101
! Space group: P1, No. 1
&SYSTEM
  ibrav = 0, nat = 40, ntyp = 6
/
ATOMIC_SPECIES
Mn 54.94 Mn.upf
O 16.00 O.upf
Sb 121.76 Sb.upf
P 30.97 P.upf
Fe 55.84 Fe.upf
Li 6.94 Li.upf
CELL_PARAMETERS angstrom
-2.5446 5.6792 -5.7266
1.1627 -2.2713 -8.1591
-7.1046 -2.1138 -4.2856
ATOMIC_POSITIONS angstrom
Mn -7.1145 -2.0308 -4.3607
O -7.6200 0.9092 -11.7064
Sb -7.1556 1.1007 -15.2411
O -2.8622 1.9003 -7.8407
O -1.5699 1.9447 -12.2137
P -1.8947 3.1091 -8.0959
Mn -4.1990 0.5471 -9.0576
O -4.9273 0.6240 -6.9694
P -2.0862 0.4403 -11.9848
Fe -1.2420 0.1911 -2.7064
O -5.0786 -0.8024 -13.0778
O -2.8576 -0.7597 -8.0175
Li -4.3438 -1.6666 -11.2590
P -6.3248 0.6992 -6.2672
O -7.5078 3.4748 -9.3116
O -3.4454 0.5990 -11.1978
Li -4.2693 3.1783 -6.9796
O -5.9918 -3.0568 -10.6251
O -1.8303 3.1549 -9.6440
O -1.1452 -0.4182 -11.1838
Fe -2.9418 0.4512 -6.3197
P -6.7548 -1.8177 -9.9318
O -4.9096 2.5522 -12.8326
O -0.9848 0.4839 -6.3733
O -6.9719 -2.0150 -8.4551
O -6.8672 -0.6992 -5.9473
O -3.4783 2.1361 -5.2438
P -5.9723 3.6329 -9.7424
O -7.1916 1.4359 -7.3321
O -5.4889 2.1735 -10.0824
Fe -5.6210 0.8512 -12.0021
Li -7.2810 1.2403 -9.5698
O -3.3834 -1.1138 -5.2315
O -5.7855 -0.5945 -10.1721
O -2.6104 4.3245 -7.4458
O -3.3676 -2.6740 -9.4540
O -0.9106 -2.2014 -8.8517
P -2.3740 -2.1997 -8.3527
Li -3.4362 2.7098 -11.3112
O -5.0821 4.1667 -8.6227


! PBE with a Hubbard U Li4Mn2Fe3SnP6O24, relaxed; values from VASP
! Corrected total energy (MP2020 scheme) in eV per atom: -7.600
! Energy of formation in eV/atom: -2.4346
! Space group: P1, No. 1
&SYSTEM
  ibrav = 0, nat = 40, ntyp = 6
/
ATOMIC_SPECIES
O 16.00 O.upf
P 30.97 P.upf
Mn 54.94 Mn.upf
Li 6.94 Li.upf
Fe 55.84 Fe.upf
Sn 118.71 Sn.upf
CELL_PARAMETERS angstrom
8.5893 0.0000 0.0000
3.8849 7.7529 0.0000
3.8998 2.4825 7.3609
ATOMIC_POSITIONS angstrom
O 11.3402 5.9075 0.6400
P 11.2882 4.9507 1.8644
O 10.7717 3.5245 1.4168
O 8.5958 7.2647 4.2289
Mn 12.2938 2.4709 7.3176
O 10.2810 5.4198 2.9256
P 8.4269 1.5080 3.3168
O 5.1939 2.0599 3.8860
P 5.1967 5.3716 5.5652
O 5.9517 7.2328 0.6458
Li 6.4360 2.9371 5.2436
P 9.4526 4.3299 6.9596
Li 8.0536 3.1341 1.1156
Fe 10.6355 6.6361 4.7459
Li 5.4294 6.3669 2.6384
O 7.7959 2.9525 3.1365
O 7.3833 9.0086 5.4929
O 8.3276 6.3202 0.0234
O 7.9685 3.9004 7.2899
Sn 2.4515 1.5310 1.1335
Fe 13.9185 8.7157 6.2496
P 8.0369 8.7103 4.1112
O 9.4927 1.5870 4.3794
Fe 5.6935 3.5365 2.5865
O 7.0171 8.6249 2.9258
Li 8.0142 7.1398 6.2427
O 6.1504 2.7048 0.7321
O 5.8919 6.6428 6.0426
O 10.3496 3.0908 6.7917
O 11.3010 8.1566 3.5157
O 4.1433 4.8738 2.3966
O 12.3316 5.5508 5.1948
O 5.1998 4.1917 6.6916
O 9.0523 1.2418 1.8283
Mn 8.3007 5.1162 3.6525
O 9.2952 5.1237 5.6330
P 6.9090 5.9465 0.3753
O 6.1129 4.7608 4.4317
O 6.9265 5.2369 1.7930
O 10.0772 7.6461 6.6430


! PBE with a Hubbard U Li4Mn2Fe3P6WO24, relaxed; values from VASP
! Corrected total energy (MP2020 scheme) in eV per atom: -7.821
! Energy of formation in eV/atom: -2.4323
! Space group: P1, No. 1
&SYSTEM
  ibrav = 0, nat = 40, ntyp = 6
/
ATOMIC_SPECIES
Li 6.94 Li.upf
O 16.00 O.upf
Fe 55.84 Fe.upf
Mn 54.94 Mn.upf
P 30.97 P.upf
W 183.84 W.upf
CELL_PARAMETERS angstrom
-5.8279 5.3344 3.3530
-8.0004 -3.1356 0.8885
-2.6456 -1.7435 8.1002
ATOMIC_POSITIONS angstrom
Li -7.4686 -2.0204 4.0820
O -7.1858 -3.0698 7.3263
Fe -10.7065 0.3095 7.9920
O -10.0817 -2.7950 4.7361
O -8.5405 0.2712 8.4160
O -5.8705 1.6565 2.8673
Fe -5.6848 0.1627 4.2837
Mn -8.3179 0.3039 6.1834
O -12.4701 0.0391 7.0106
O -10.0146 1.5959 6.2741
O -6.4874 3.3354 7.6410
O -10.0198 0.6656 2.7564
P -10.5237 -2.5827 6.2004
O -9.9627 -3.6406 7.2055
O -8.9050 -1.6639 2.3773
O -9.8783 -1.2346 6.6471
Li -8.9233 -2.1578 8.2990
O -11.6308 2.6020 4.5452
W -2.4184 0.0561 1.8332
O -10.5772 -1.3698 9.4302
Li -5.1730 0.1833 7.0580
O -4.8791 -1.9240 7.8090
Mn -8.3425 3.4866 11.3040
P -10.6592 2.8790 5.7266
O -11.0107 1.9759 9.1339
Fe -14.0156 0.3870 10.4915
O -6.4214 -0.2556 9.5281
P -5.9734 3.0682 6.2496
O -6.5818 4.1157 5.1553
O -7.8962 0.0228 3.9211
O -6.4278 -1.0802 6.0367
Li -7.3453 2.3584 3.9280
O -5.6560 -1.6881 3.4229
O -7.5517 2.0011 10.0355
O -6.5739 1.6998 5.7295
O -3.6431 -1.5440 1.8777
P -8.7139 -0.0662 2.5691
O -4.0539 0.4811 5.4407
P -7.7810 0.5068 9.7504
P -5.9481 -2.4303 6.6994